# ZnCr5GaSe10 | the Materials Project | GGA-PBE | optimized geometry
# DFT total energy = -5.70 eV per atom
data_ZnCr5GaSe10
_cell_length_a 27.023
_cell_length_b 27.023
_cell_length_c 27.023
_cell_angle_alpha 164.05
_cell_angle_beta 164.05
_cell_angle_gamma 22.63
_symmetry_space_group_name_H-M 'P 1'
_symmetry_Int_Tables_number 1
_symmetry_space_group_name_Hall 'P 1'
loop_
_atom_site_label
_atom_site_fract_x
_atom_site_fract_y
_atom_site_fract_z
Zn1 0.000 0.000 0.000
Zn2 0.200 0.200 0.000
Zn3 0.250 0.750 0.500
Zn4 0.800 0.800 0.000
Cr1 0.024 0.275 0.750
Cr2 0.126 0.388 0.262
Cr3 0.126 0.864 0.738
Cr4 0.136 0.874 0.262
Cr5 0.219 0.474 0.745
Cr6 0.326 0.071 0.745
Cr7 0.326 0.581 0.255
Cr8 0.336 0.074 0.262
Cr9 0.419 0.674 0.745
Cr10 0.525 0.275 0.250
Cr11 0.526 0.271 0.745
Cr12 0.526 0.781 0.255
Cr13 0.612 0.874 0.738
Cr14 0.725 0.475 0.750
Cr15 0.725 0.976 0.250
Cr16 0.729 0.474 0.255
Cr17 0.813 0.074 0.738
Cr18 0.926 0.187 0.262
Cr19 0.926 0.664 0.738
Cr20 0.929 0.674 0.255
Ga1 0.051 0.551 0.500
Ga2 0.449 0.949 0.500
Ga3 0.649 0.149 0.500
Ga4 0.851 0.351 0.500
Se1 0.077 0.307 0.230
Se2 0.077 0.848 0.770
Se3 0.093 0.323 0.770
Se4 0.097 0.827 0.271
Se5 0.152 0.923 0.230
Se6 0.157 0.427 0.730
Se7 0.173 0.444 0.271
Se8 0.173 0.903 0.729
Se9 0.277 0.049 0.772
Se10 0.277 0.506 0.228
Se11 0.294 0.523 0.771
Se12 0.297 0.027 0.270
Se13 0.353 0.123 0.230
Se14 0.357 0.627 0.730
Se15 0.373 0.103 0.730
Se16 0.373 0.643 0.270
Se17 0.477 0.248 0.771
Se18 0.477 0.706 0.229
Se19 0.494 0.723 0.772
Se20 0.498 0.227 0.271
Se21 0.553 0.323 0.230
Se22 0.556 0.827 0.729
Se23 0.573 0.303 0.730
Se24 0.573 0.843 0.270
Se25 0.677 0.447 0.770
Se26 0.677 0.907 0.230
Se27 0.693 0.923 0.770
Se28 0.697 0.427 0.270
Se29 0.752 0.523 0.229
Se30 0.757 0.027 0.730
Se31 0.773 0.044 0.271
Se32 0.773 0.502 0.729
Se33 0.877 0.107 0.230
Se34 0.877 0.647 0.770
Se35 0.893 0.123 0.770
Se36 0.897 0.627 0.270
Se37 0.951 0.723 0.228
Se38 0.956 0.227 0.729
Se39 0.973 0.243 0.270
Se40 0.973 0.703 0.730